{"formula": "Te2Mo2SeS", "functional": "GGA-PBE", "state": "relaxed", "relative_energy_ev_per_fu": 0.01, "delta_e_f_mev_per_atom": -550, "energy_corrected_mp2020_ev_per_atom": -6.485, "cell": [[3.399, 0.000, 0.000], [-1.699, 2.943, 0.000], [0.000, 0.000, 40.026]], "species": ["Te", "Te", "Te", "Te", "Mo", "Mo", "Mo", "Mo", "Se", "Se", "S", "S"], "fractional_positions": [[0.000, 0.000, 0.000], [0.000, 0.000, 0.094], [0.333, 0.667, 0.809], [0.333, 0.667, 0.903], [0.000, 0.000, 0.482], [0.000, 0.000, 0.856], [0.333, 0.667, 0.047], [0.333, 0.667, 0.669], [0.000, 0.000, 0.628], [0.000, 0.000, 0.710], [0.333, 0.667, 0.444], [0.333, 0.667, 0.519]]}